[1]
This record from the Materials Project describes crystalline Gd2MnGa6 at its relaxed geometry. The functional is r2SCAN.

Output
DFT total energy = -19.50 eV per atom
spin magnetization = 2.6 Bohr magnetons per cell
formation enthalpy at 0 K = -0.593 eV per atom

a b c (Å): 6.193 6.199 6.195
angles (deg): 60.00 59.97 59.99
Fractional positions:
1 Gd 0.249 0.251 0.250
2 Gd 0.751 0.749 0.750
3 Mn 0.500 0.500 0.500
4 Ga 0.783 0.217 0.784
5 Ga 0.217 0.784 0.783
6 Ga 0.217 0.216 0.784
7 Ga 0.783 0.216 0.217
8 Ga 0.783 0.784 0.216
9 Ga 0.217 0.784 0.216

***

[2]
This record from the Materials Project describes crystalline Gd3GaO6 at its relaxed geometry. The functional is r2SCAN.

Output
DFT total energy = -21.11 eV per atom
spin magnetization = 42.0 Bohr magnetons per cell
formation enthalpy at 0 K = -3.367 eV per atom

a b c (Å): 5.483 7.206 7.206
angles (deg): 102.83 90.00 90.00
Fractional positions:
1 Gd 0.077 0.603 0.397
2 Gd 0.577 0.397 0.603
3 Gd 0.032 0.087 0.298
4 Gd 0.532 0.913 0.702
5 Gd 0.032 0.702 0.913
6 Gd 0.532 0.298 0.087
7 Ga 0.500 0.807 0.193
8 Ga 0.000 0.193 0.807
9 O 0.832 0.784 0.216
10 O 0.332 0.216 0.784
11 O 0.362 0.960 0.040
12 O 0.862 0.040 0.960
13 O 0.303 0.325 0.355
14 O 0.803 0.675 0.645
15 O 0.303 0.645 0.675
16 O 0.803 0.355 0.325
17 O 0.826 0.419 0.894
18 O 0.326 0.581 0.106
19 O 0.826 0.106 0.581
20 O 0.326 0.894 0.419

***

[3]
This record from the Materials Project describes crystalline GdGaRh2 at its relaxed geometry. The functional is r2SCAN.

Output
DFT total energy = -26.55 eV per atom
spin magnetization = 7.1 Bohr magnetons per cell
formation enthalpy at 0 K = -0.769 eV per atom

a b c (Å): 4.565 4.567 4.562
angles (deg): 59.97 60.05 59.98
Fractional positions:
1 Gd 0.750 0.750 0.750
2 Ga 0.250 0.250 0.250
3 Rh 0.000 0.000 0.000
4 Rh 0.500 0.500 0.500

***

[4]
This record from the Materials Project describes crystalline GdGa3Ru at its relaxed geometry. The functional is r2SCAN.

Output
DFT total energy = -21.24 eV per atom
spin magnetization = 7.0 Bohr magnetons per cell
formation enthalpy at 0 K = -0.606 eV per atom

a b c (Å): 6.421 6.421 6.410
angles (deg): 90.00 90.00 90.00
Fractional positions:
1 Gd 0.500 0.500 0.000
2 Gd 0.500 0.000 0.500
3 Gd 0.000 0.500 0.500
4 Ga 0.500 0.500 0.500
5 Ga 0.207 0.207 0.793
6 Ga 0.207 0.793 0.207
7 Ga 0.793 0.207 0.207
8 Ga 0.793 0.793 0.793
9 Ga 0.793 0.793 0.207
10 Ga 0.793 0.207 0.793
11 Ga 0.207 0.793 0.793
12 Ga 0.207 0.207 0.207
13 Ru 0.000 0.000 0.500
14 Ru 0.000 0.500 0.000
15 Ru 0.500 0.000 0.000

***

The highest formation enthalpy at 0 K belongs to which entry? Gd2MnGa6